Compound: CrS2O8
Source: the Materials Project
Functional: PBE+U
Structure: optimized geometry

Cell lengths 8.989, 13.451, 9.110 Å; angles 90.00, 90.00, 90.00 degrees
Space group Pbca (No. 61)
Inequivalent atoms, fractional coordinates:
1 Cr 0.106 0.126 0.140
2 S 0.066 0.723 0.076
3 S 0.188 0.011 0.841
4 O 0.006 0.718 0.230
5 O 0.011 0.643 0.983
6 O 0.027 0.675 0.522
7 O 0.029 0.515 0.307
8 O 0.201 0.028 0.005
9 O 0.223 0.081 0.313
10 O 0.234 0.098 0.759
11 O 0.234 0.722 0.085

Summary:
* raw total energy: -0.4654 Ry per atom
* E_form: -1785 meV per atom